Entry 1:
Material: La2Mg3Ag9
Method: DFT, r2SCAN
State: relaxed Values from VASP.

Values from the calculation:
Total energy = -19.134 eV/atom
Calculated volume = 287.9 Å³/f.u.
Spin magnetization = 0.000 Bohr magnetons per cell

Quantum ESPRESSO input file:
```
&SYSTEM
  ibrav = 0, nat = 14, ntyp = 3
/
ATOMIC_SPECIES
Ag 107.87 Ag.upf
La 138.91 La.upf
Mg 24.30 Mg.upf
ATOMIC_POSITIONS angstrom
Ag -0.9923 -1.1589 2.5292
Ag -6.9309 3.4309 0.8002
Ag -4.5962 -1.7549 -0.2923
Ag -8.7237 4.8815 -0.7633
Ag -4.1148 1.1489 3.2698
Ag -1.6747 -2.2206 -0.1413
Ag -2.7842 0.2930 0.9658
Ag -8.4702 1.0352 1.7756
Ag -5.6013 2.5737 -1.5038
La -6.5857 2.9752 3.8558
La -3.1303 0.7475 -2.0899
Mg 0.0000 0.0000 0.0000
Mg -4.0207 2.9716 0.9536
Mg -5.6954 0.7510 0.8123
CELL_PARAMETERS angstrom
-2.2830 -1.4449 -5.1232
-1.0664 -2.9963 4.8407
-8.0413 5.9432 1.9072
```

---

Entry 2:
Material: LaMgAg2
Method: DFT, r2SCAN
State: relaxed Values from VASP.

Values from the calculation:
Total energy = -19.421 eV/atom
Calculated volume = 94.3 Å³/f.u.
Spin magnetization = 0.000 Bohr magnetons per cell

Quantum ESPRESSO input file:
```
&SYSTEM
  ibrav = 0, nat = 4, ntyp = 3
/
ATOMIC_SPECIES
Ag 107.87 Ag.upf
Mg 24.30 Mg.upf
La 138.91 La.upf
ATOMIC_POSITIONS angstrom
Ag 4.3503 -1.6984 4.1640
Ag 0.0000 0.0000 0.0000
Mg 6.5254 -2.5476 6.2459
La 2.1751 -0.8492 2.0820
CELL_PARAMETERS angstrom
4.5835 -2.1773 0.5911
3.1744 1.6761 3.6349
0.9426 -2.8955 4.1020
```